Entry 1:
A plane-wave DFT calculation with r2SCAN was carried out for an optimized crystal structure of Te2Ru.

* total magnetic moment: 0.000 μB/cell
* crystal system: orthorhombic
* ΔH_f (0 K): -406 meV/atom
* calculated density: 8.53 g/cm³
* space-group type: No. 58

Lattice parameters (Å, degrees): 4.0414 5.3309 6.4375 90.00 90.00 90.00
Last column: nearest neighbours and their distance in Å.
Sites, in units of the cell vectors:
Te: 0.5000 0.2802 0.8669  3 Ru 2.64-2.65, 1 Te 2.90
Te: 0.0000 0.2198 0.3669  3 Ru 2.64-2.65, 1 Te 2.90
Te: 0.5000 0.7198 0.1331  3 Ru 2.64-2.65, 1 Te 2.90
Te: 0.0000 0.7802 0.6331  3 Ru 2.64-2.65, 1 Te 2.90
Ru: 0.0000 0.0000 0.0000  6 Te 2.64-2.65
Ru: 0.5000 0.5000 0.5000  6 Te 2.64-2.65


Entry 2:
A plane-wave DFT calculation with r2SCAN was carried out for an optimized crystal structure of Te2Ru.

* total magnetic moment: 0.000 μB/cell
* crystal system: cubic
* ΔH_f (0 K): -394 meV/atom
* calculated density: 8.86 g/cm³
* space-group type: No. 205

Lattice parameters (Å, degrees): 6.4388 6.4388 6.4388 90.00 90.00 90.00
Last column: nearest neighbours and their distance in Å.
Sites, in units of the cell vectors:
Te: 0.8732 0.3732 0.1268  3 Ru 2.67, 1 Te 2.83
Te: 0.6268 0.6268 0.6268  3 Ru 2.67, 1 Te 2.83
Te: 0.3732 0.1268 0.8732  3 Ru 2.67, 1 Te 2.83
Te: 0.1268 0.8732 0.3732  3 Ru 2.67, 1 Te 2.83
Te: 0.1268 0.6268 0.8732  3 Ru 2.67, 1 Te 2.83
Te: 0.6268 0.8732 0.1268  3 Ru 2.67, 1 Te 2.83
Te: 0.3732 0.3732 0.3732  3 Ru 2.67, 1 Te 2.83
Te: 0.8732 0.1268 0.6268  3 Ru 2.67, 1 Te 2.83
Ru: 0.5000 0.0000 0.5000  6 Te 2.67
Ru: 0.5000 0.5000 0.0000  6 Te 2.67
Ru: 0.0000 0.5000 0.5000  6 Te 2.67
Ru: 0.0000 0.0000 0.0000  6 Te 2.67


Entry 3:
A plane-wave DFT calculation with r2SCAN was carried out for an optimized crystal structure of ThRu2.

* total magnetic moment: 0.000 μB/cell
* crystal system: cubic
* ΔH_f (0 K): -311 meV/atom
* calculated density: 12.92 g/cm³
* space-group type: No. 227

Lattice parameters (Å, degrees): 5.4043 5.4043 5.4043 60.00 60.00 60.00
Last column: nearest neighbours and their distance in Å.
Sites, in units of the cell vectors:
Th: 0.1250 0.1250 0.1250  12 Ru 3.17, 4 Th 3.31
Th: 0.8750 0.8750 0.8750  12 Ru 3.17, 4 Th 3.31
Ru: 0.5000 0.5000 0.5000  6 Ru 2.70
Ru: 0.5000 0.5000 0.0000  6 Ru 2.70
Ru: 0.0000 0.5000 0.5000  6 Ru 2.70
Ru: 0.5000 0.0000 0.5000  6 Ru 2.70


Entry 4:
A plane-wave DFT calculation with r2SCAN was carried out for an optimized crystal structure of Th7Ru3.

* total magnetic moment: 0.000 μB/cell
* crystal system: hexagonal
* ΔH_f (0 K): -424 meV/atom
* calculated density: 11.78 g/cm³
* space-group type: No. 186

Lattice parameters (Å, degrees): 9.9204 9.9204 6.3740 90.00 90.00 120.00
Last column: nearest neighbours and their distance in Å.
Sites, in units of the cell vectors:
Ru: 0.6283 0.8142 0.5446  6 Th 2.83-3.12
Ru: 0.1858 0.3717 0.5446  6 Th 2.83-3.12
Ru: 0.8142 0.1858 0.0446  6 Th 2.83-3.12
Ru: 0.1858 0.8142 0.5446  6 Th 2.83-3.12
Ru: 0.8142 0.6283 0.0446  6 Th 2.83-3.12
Ru: 0.3717 0.1858 0.0446  6 Th 2.83-3.12
Th: 0.2508 0.1254 0.5055  3 Ru 2.83-3.12
Th: 0.5403 0.0806 0.8016  2 Ru 2.83
Th: 0.7492 0.8746 0.0055  3 Ru 2.83-3.12
Th: 0.4597 0.5403 0.3015  2 Ru 2.83
Th: 0.1254 0.2508 0.0055  3 Ru 2.83-3.12
Th: 0.8746 0.1254 0.5055  3 Ru 2.83-3.12
Th: 0.6667 0.3333 0.2870  3 Ru 2.97
Th: 0.5403 0.4597 0.8015  2 Ru 2.83
Th: 0.0806 0.5403 0.3016  2 Ru 2.83
Th: 0.1254 0.8746 0.0055  3 Ru 2.83-3.12
Th: 0.9194 0.4597 0.8016  2 Ru 2.83
Th: 0.3333 0.6667 0.7870  3 Ru 2.97
Th: 0.8746 0.7492 0.5055  3 Ru 2.83-3.12
Th: 0.4597 0.9194 0.3016  2 Ru 2.83


Entry 5:
A plane-wave DFT calculation with r2SCAN was carried out for an optimized crystal structure of TmThRu2.

* total magnetic moment: 0.000 μB/cell
* crystal system: cubic
* ΔH_f (0 K): -503 meV/atom
* calculated density: 12.25 g/cm³
* space-group type: No. 225

Lattice parameters (Å, degrees): 4.8715 4.8715 4.8715 60.00 60.00 60.00
Last column: nearest neighbours and their distance in Å.
Sites, in units of the cell vectors:
Th: 0.2500 0.2500 0.2500  8 Ru 2.98
Ru: 0.5000 0.5000 0.5000  4 Th 2.98, 4 Tm 2.98
Ru: 0.0000 0.0000 0.0000  4 Th 2.98, 4 Tm 2.98
Tm: 0.7500 0.7500 0.7500  8 Ru 2.98


Entry 6:
A plane-wave DFT calculation with r2SCAN was carried out for an optimized crystal structure of YThRu2.

* total magnetic moment: 0.000 μB/cell
* crystal system: cubic
* ΔH_f (0 K): -428 meV/atom
* calculated density: 10.37 g/cm³
* space-group type: No. 225

Lattice parameters (Å, degrees): 4.9112 4.9112 4.9112 60.00 60.00 60.00
Last column: nearest neighbours and their distance in Å.
Sites, in units of the cell vectors:
Th: 0.2500 0.2500 0.2500  8 Ru 3.01
Ru: 0.5000 0.5000 0.5000  4 Y 3.01, 4 Th 3.01
Ru: 0.0000 0.0000 0.0000  4 Y 3.01, 4 Th 3.01
Y: 0.7500 0.7500 0.7500  8 Ru 3.01


Entry 7:
A plane-wave DFT calculation with r2SCAN was carried out for an optimized crystal structure of TiVRu2.

* total magnetic moment: 0.438 μB/cell
* crystal system: cubic
* ΔH_f (0 K): -538 meV/atom
* calculated density: 8.98 g/cm³
* space-group type: No. 225

Lattice parameters (Å, degrees): 4.2851 4.2851 4.2851 60.00 60.00 60.00
Last column: nearest neighbours and their distance in Å.
Sites, in units of the cell vectors:
Ti: 0.5000 0.5000 0.5000  8 Ru 2.62
V: 0.0000 0.0000 0.0000  8 Ru 2.62
Ru: 0.2500 0.2500 0.2500  4 Ti 2.62, 4 V 2.62
Ru: 0.7500 0.7500 0.7500  4 Ti 2.62, 4 V 2.62


Entry 8:
A plane-wave DFT calculation with r2SCAN was carried out for an optimized crystal structure of Tm3Ru.

* total magnetic moment: 0.000 μB/cell
* crystal system: orthorhombic
* ΔH_f (0 K): -399 meV/atom
* calculated density: 10.10 g/cm³
* space-group type: No. 62

Lattice parameters (Å, degrees): 6.1996 7.2078 8.9464 90.00 90.00 90.00
Last column: nearest neighbours and their distance in Å.
Sites, in units of the cell vectors:
Tm: 0.8306 0.8245 0.5639  3 Ru 2.80-3.11
Tm: 0.8306 0.8245 0.9361  3 Ru 2.80-3.11
Tm: 0.1694 0.1755 0.0639  3 Ru 2.80-3.11
Tm: 0.3306 0.6755 0.0639  3 Ru 2.80-3.11
Tm: 0.6293 0.0426 0.2500  2 Ru 2.67-2.75
Tm: 0.8707 0.5426 0.2500  2 Ru 2.67-2.75
Tm: 0.6694 0.3245 0.5639  3 Ru 2.80-3.11
Tm: 0.1694 0.1755 0.4361  3 Ru 2.80-3.11
Tm: 0.3306 0.6755 0.4361  3 Ru 2.80-3.11
Tm: 0.6694 0.3245 0.9361  3 Ru 2.80-3.11
Tm: 0.1293 0.4574 0.7500  2 Ru 2.67-2.75
Tm: 0.3707 0.9574 0.7500  2 Ru 2.67-2.75
Ru: 0.0334 0.8852 0.2500  6 Tm 2.67-2.91
Ru: 0.4666 0.3852 0.2500  6 Tm 2.67-2.91
Ru: 0.9666 0.1148 0.7500  6 Tm 2.67-2.91
Ru: 0.5334 0.6148 0.7500  6 Tm 2.67-2.91


Entry 9:
A plane-wave DFT calculation with r2SCAN was carried out for an optimized crystal structure of YTmRu2.

* total magnetic moment: 0.000 μB/cell
* crystal system: cubic
* ΔH_f (0 K): -382 meV/atom
* calculated density: 10.03 g/cm³
* space-group type: No. 225

Lattice parameters (Å, degrees): 4.7570 4.7570 4.7570 60.00 60.00 60.00
Last column: nearest neighbours and their distance in Å.
Sites, in units of the cell vectors:
Tm: 0.5000 0.5000 0.5000  8 Ru 2.91
Ru: 0.7500 0.7500 0.7500  4 Tm 2.91, 4 Y 2.91
Ru: 0.2500 0.2500 0.2500  4 Tm 2.91, 4 Y 2.91
Y: 0.0000 0.0000 0.0000  8 Ru 2.91


Entry 10:
A plane-wave DFT calculation with r2SCAN was carried out for an optimized crystal structure of Tm2ZnRu.

* total magnetic moment: 0.000 μB/cell
* crystal system: cubic
* ΔH_f (0 K): -459 meV/atom
* calculated density: 10.62 g/cm³
* space-group type: No. 225

Lattice parameters (Å, degrees): 4.8134 4.8134 4.8134 60.00 60.00 60.00
Last column: nearest neighbours and their distance in Å.
Sites, in units of the cell vectors:
Ru: 0.2500 0.2500 0.2500  8 Tm 2.95
Zn: 0.7500 0.7500 0.7500  8 Tm 2.95
Tm: 0.5000 0.5000 0.5000  4 Zn 2.95, 4 Ru 2.95
Tm: 0.0000 0.0000 0.0000  4 Zn 2.95, 4 Ru 2.95


Entry 11:
A plane-wave DFT calculation with r2SCAN was carried out for an optimized crystal structure of TmZrRu2.

* total magnetic moment: 0.000 μB/cell
* crystal system: cubic
* ΔH_f (0 K): -636 meV/atom
* calculated density: 10.76 g/cm³
* space-group type: No. 225

Lattice parameters (Å, degrees): 4.6558 4.6558 4.6558 60.00 60.00 60.00
Last column: nearest neighbours and their distance in Å.
Sites, in units of the cell vectors:
Ru: 0.5000 0.5000 0.5000  4 Tm 2.85, 4 Zr 2.85
Ru: 0.0000 0.0000 0.0000  4 Tm 2.85, 4 Zr 2.85
Tm: 0.2500 0.2500 0.2500  8 Ru 2.85
Zr: 0.7500 0.7500 0.7500  8 Ru 2.85


Entry 12:
A plane-wave DFT calculation with r2SCAN was carried out for an optimized crystal structure of URu3.

* total magnetic moment: 0.000 μB/cell
* crystal system: cubic
* ΔH_f (0 K): -354 meV/atom
* calculated density: 14.35 g/cm³
* space-group type: No. 221

Lattice parameters (Å, degrees): 3.9712 3.9712 3.9712 90.00 90.00 90.00
Last column: nearest neighbours and their distance in Å.
Sites, in units of the cell vectors:
Ru: 0.5000 0.0000 0.5000  8 Ru 2.81, 4 U 2.81
Ru: 0.0000 0.5000 0.5000  8 Ru 2.81, 4 U 2.81
Ru: 0.5000 0.5000 0.0000  8 Ru 2.81, 4 U 2.81
U: 0.0000 0.0000 0.0000  12 Ru 2.81